# 1
First-principles (PBE with a Hubbard U) data for crystalline CoMoH24N6ClO7 at its relaxed geometry, as listed in Materials Project.

Properties
DFT formation energy, meV per atom: -819.5
Space-group type: Pnma (62)
Corrected total energy (MP2020 scheme), eV per atom: -5.47
Crystal system: orthorhombic

a = 18.6991 Å, b = 8.8467 Å, c = 8.5380 Å
α = 90.00°, β = 90.00°, γ = 90.00°
With the nearest neighbours (Å) after each atom.
Element x y z (fractional)
1 Co 0.1676 0.2500 0.1785  6 N 1.98-2.00
2 Co 0.3324 0.7500 0.6785  6 N 1.98-2.00
3 Co 0.6676 0.2500 0.3215  6 N 1.98-2.00
4 Co 0.8324 0.7500 0.8215  6 N 1.98-2.00
5 Mo 0.0988 0.7500 0.8922  4 O 1.80
6 Mo 0.4012 0.2500 0.3922  4 O 1.80
7 Mo 0.5988 0.7500 0.6078  4 O 1.80
8 Mo 0.9012 0.2500 0.1078  4 O 1.80
9 H 0.0125 0.7500 0.2116  1 O 1.01
10 H 0.0443 0.1320 0.1895  1 N 1.03
11 H 0.0443 0.3680 0.1895  1 N 1.03
12 H 0.0522 0.1057 0.5895  1 O 0.99
13 H 0.0522 0.3943 0.5895  1 O 0.99
14 H 0.0553 0.7500 0.3691  1 O 0.98
15 H 0.0815 0.5624 0.5894  1 O 0.99
16 H 0.0815 0.9376 0.5894  1 O 0.99
17 H 0.0939 0.0516 0.3266  1 N 1.04
18 H 0.0939 0.4484 0.3266  1 N 1.04
19 H 0.1033 0.0014 0.1385  1 N 1.03
20 H 0.1033 0.4986 0.1385  1 N 1.03
21 H 0.1152 0.1553 0.9190  1 N 1.02
22 H 0.1152 0.3447 0.9190  1 N 1.02
23 H 0.1716 0.1575 0.4621  1 N 1.03
24 H 0.1716 0.3425 0.4621  1 N 1.03
25 H 0.1897 0.2500 0.8856  1 N 1.03
26 H 0.2166 0.5072 0.1080  1 N 1.03
27 H 0.2166 0.9928 0.1080  1 N 1.03
28 H 0.2254 0.5739 0.7315  1 N 1.03
29 H 0.2254 0.9261 0.7315  1 N 1.03
30 H 0.2288 0.6268 0.5433  1 N 1.04
31 H 0.2288 0.8732 0.5433  1 N 1.04
32 H 0.2472 0.2500 0.4249  1 N 1.03
33 H 0.2528 0.7500 0.9249  1 N 1.03
34 H 0.2712 0.1268 0.0433  1 N 1.04
35 H 0.2712 0.3732 0.0433  1 N 1.04
36 H 0.2746 0.0739 0.2315  1 N 1.03
37 H 0.2746 0.4261 0.2315  1 N 1.03
38 H 0.2834 0.0072 0.6080  1 N 1.03
39 H 0.2834 0.4928 0.6080  1 N 1.03
40 H 0.3103 0.7500 0.3856  1 N 1.03
41 H 0.3284 0.6575 0.9621  1 N 1.03
42 H 0.3284 0.8425 0.9621  1 N 1.03
43 H 0.3848 0.6553 0.4190  1 N 1.02
44 H 0.3848 0.8447 0.4190  1 N 1.02
45 H 0.3967 0.5014 0.6385  1 N 1.03
46 H 0.3967 0.9986 0.6385  1 N 1.03
47 H 0.4061 0.5516 0.8266  1 N 1.04
48 H 0.4061 0.9484 0.8266  1 N 1.04
49 H 0.4185 0.0624 0.0894  1 O 0.99
50 H 0.4185 0.4376 0.0894  1 O 0.99
51 H 0.4447 0.2500 0.8691  1 O 0.98
52 H 0.4478 0.6057 0.0895  1 O 0.99
53 H 0.4478 0.8943 0.0895  1 O 0.99
54 H 0.4557 0.6320 0.6895  1 N 1.03
55 H 0.4557 0.8680 0.6895  1 N 1.03
56 H 0.4875 0.2500 0.7116  1 O 1.01
57 H 0.5125 0.7500 0.2884  1 O 1.01
58 H 0.5443 0.1320 0.3105  1 N 1.03
59 H 0.5443 0.3680 0.3105  1 N 1.03
60 H 0.5522 0.1057 0.9105  1 O 0.99
61 H 0.5522 0.3943 0.9105  1 O 0.99
62 H 0.5553 0.7500 0.1309  1 O 0.98
63 H 0.5815 0.5624 0.9106  1 O 0.99
64 H 0.5815 0.9376 0.9106  1 O 0.99
65 H 0.5939 0.0516 0.1734  1 N 1.04
66 H 0.5939 0.4484 0.1734  1 N 1.04
67 H 0.6033 0.0014 0.3615  1 N 1.03
68 H 0.6033 0.4986 0.3615  1 N 1.03
69 H 0.6152 0.1553 0.5810  1 N 1.02
70 H 0.6152 0.3447 0.5810  1 N 1.02
71 H 0.6716 0.1575 0.0379  1 N 1.03
72 H 0.6716 0.3425 0.0379  1 N 1.03
73 H 0.6897 0.2500 0.6144  1 N 1.03
74 H 0.7166 0.5072 0.3920  1 N 1.03
75 H 0.7166 0.9928 0.3920  1 N 1.03
76 H 0.7254 0.5739 0.7685  1 N 1.03
77 H 0.7254 0.9261 0.7685  1 N 1.03
78 H 0.7288 0.6268 0.9567  1 N 1.04
79 H 0.7288 0.8732 0.9567  1 N 1.04
80 H 0.7472 0.2500 0.0751  1 N 1.03
81 H 0.7528 0.7500 0.5751  1 N 1.03
82 H 0.7712 0.1268 0.4567  1 N 1.04
83 H 0.7712 0.3732 0.4567  1 N 1.04
84 H 0.7746 0.0739 0.2685  1 N 1.03
85 H 0.7746 0.4261 0.2685  1 N 1.03
86 H 0.7834 0.0072 0.8920  1 N 1.03
87 H 0.7834 0.4928 0.8920  1 N 1.03
88 H 0.8103 0.7500 0.1144  1 N 1.03
89 H 0.8284 0.6575 0.5379  1 N 1.03
90 H 0.8284 0.8425 0.5379  1 N 1.03
91 H 0.8848 0.6553 0.0810  1 N 1.02
92 H 0.8848 0.8447 0.0810  1 N 1.02
93 H 0.8967 0.5014 0.8615  1 N 1.03
94 H 0.8967 0.9986 0.8615  1 N 1.03
95 H 0.9061 0.5516 0.6734  1 N 1.04
96 H 0.9061 0.9484 0.6734  1 N 1.04
97 H 0.9185 0.0624 0.4106  1 O 0.99
98 H 0.9185 0.4376 0.4106  1 O 0.99
99 H 0.9447 0.2500 0.6309  1 O 0.98
100 H 0.9478 0.6057 0.4105  1 O 0.99
101 H 0.9478 0.8943 0.4105  1 O 0.99
102 H 0.9557 0.6320 0.8105  1 N 1.03
103 H 0.9557 0.8680 0.8105  1 N 1.03
104 H 0.9875 0.2500 0.7884  1 O 1.01
105 N 0.0946 0.0913 0.2122  3 H 1.03-1.04
106 N 0.0946 0.4087 0.2122  3 H 1.03-1.04
107 N 0.1432 0.2500 0.9507  3 H 1.02-1.03
108 N 0.1930 0.2500 0.4056  3 H 1.03
109 N 0.2407 0.0930 0.1383  3 H 1.03-1.04
110 N 0.2407 0.4070 0.1383  3 H 1.03-1.04
111 N 0.2593 0.5930 0.6383  3 H 1.03-1.04
112 N 0.2593 0.9070 0.6383  3 H 1.03-1.04
113 N 0.3070 0.7500 0.9056  3 H 1.03
114 N 0.3568 0.7500 0.4507  3 H 1.02-1.03
115 N 0.4054 0.5913 0.7122  3 H 1.03-1.04
116 N 0.4054 0.9087 0.7122  3 H 1.03-1.04
117 N 0.5946 0.0913 0.2878  3 H 1.03-1.04
118 N 0.5946 0.4087 0.2878  3 H 1.03-1.04
119 N 0.6432 0.2500 0.5493  3 H 1.02-1.03
120 N 0.6930 0.2500 0.0944  3 H 1.03
121 N 0.7407 0.0930 0.3617  3 H 1.03-1.04
122 N 0.7407 0.4070 0.3617  3 H 1.03-1.04
123 N 0.7593 0.5930 0.8617  3 H 1.03-1.04
124 N 0.7593 0.9070 0.8617  3 H 1.03-1.04
125 N 0.8070 0.7500 0.5944  3 H 1.03
126 N 0.8568 0.7500 0.0493  3 H 1.02-1.03
127 N 0.9054 0.5913 0.7878  3 H 1.03-1.04
128 N 0.9054 0.9087 0.7878  3 H 1.03-1.04
129 Cl 0.1864 0.7500 0.3312  4 H 2.26-2.47
130 Cl 0.3136 0.2500 0.8312  4 H 2.26-2.47
131 Cl 0.6864 0.7500 0.1688  4 H 2.26-2.47
132 Cl 0.8136 0.2500 0.6688  4 H 2.26-2.47
133 O 0.0060 0.7500 0.3294  2 H 0.98-1.01
134 O 0.0246 0.7500 0.0266  1 H 1.60
135 O 0.0619 0.7500 0.6973  1 Mo 1.80, 2 H 1.93
136 O 0.0893 0.0386 0.5439  2 H 0.99
137 O 0.0893 0.4614 0.5439  2 H 0.99
138 O 0.1538 0.5851 0.9172  1 Mo 1.80
139 O 0.1538 0.9149 0.9172  1 Mo 1.80
140 O 0.3462 0.0851 0.4172  1 Mo 1.80
141 O 0.3462 0.4149 0.4172  1 Mo 1.80
142 O 0.4107 0.5386 0.0439  2 H 0.99
143 O 0.4107 0.9614 0.0439  2 H 0.99
144 O 0.4381 0.2500 0.1973  1 Mo 1.80, 2 H 1.93
145 O 0.4754 0.2500 0.5266  1 H 1.60
146 O 0.4940 0.2500 0.8294  2 H 0.98-1.01
147 O 0.5060 0.7500 0.1706  2 H 0.98-1.01
148 O 0.5246 0.7500 0.4734  1 H 1.60
149 O 0.5619 0.7500 0.8027  1 Mo 1.80, 2 H 1.93
150 O 0.5893 0.0386 0.9561  2 H 0.99
151 O 0.5893 0.4614 0.9561  2 H 0.99
152 O 0.6538 0.5851 0.5828  1 Mo 1.80
153 O 0.6538 0.9149 0.5828  1 Mo 1.80
154 O 0.8462 0.0851 0.0828  1 Mo 1.80
155 O 0.8462 0.4149 0.0828  1 Mo 1.80
156 O 0.9107 0.5386 0.4561  2 H 0.99
157 O 0.9107 0.9614 0.4561  2 H 0.99
158 O 0.9381 0.2500 0.3027  1 Mo 1.80, 2 H 1.93
159 O 0.9754 0.2500 0.9734  1 H 1.60
160 O 0.9940 0.2500 0.6706  2 H 0.98-1.01

# 2
First-principles (PBE with a Hubbard U) data for crystalline CoH20S2N6ClO4 at its relaxed geometry, as listed in Materials Project.

Properties
DFT formation energy, meV per atom: -662.6
Space-group type: P2_1/c (14)
Corrected total energy (MP2020 scheme), eV per atom: -5.22
Crystal system: monoclinic

a = 7.1980 Å, b = 13.8759 Å, c = 12.8892 Å
α = 90.00°, β = 90.47°, γ = 90.00°
With the nearest neighbours (Å) after each atom.
Element x y z (fractional)
1 Co 0.0000 0.0000 0.0000  6 N 1.97-1.98
2 Co 0.0000 0.5000 0.5000  6 N 1.97-1.98
3 Co 0.5000 0.0000 0.5000  6 N 1.97-1.98
4 Co 0.5000 0.5000 0.0000  6 N 1.97-1.98
5 H 0.0007 0.0196 0.1981  1 N 1.03
6 H 0.0007 0.4804 0.6981  1 N 1.03
7 H 0.0510 0.0936 0.8292  1 N 1.03
8 H 0.0510 0.4064 0.3292  1 N 1.03
9 H 0.1209 0.6461 0.4022  1 N 1.03
10 H 0.1209 0.8539 0.9022  1 N 1.03
11 H 0.1640 0.1625 0.0047  1 N 1.03
12 H 0.1640 0.3375 0.5047  1 N 1.03
13 H 0.1650 0.5550 0.6621  1 N 1.03
14 H 0.1650 0.9450 0.1621  1 N 1.03
15 H 0.1965 0.5199 0.8993  1 N 1.03
16 H 0.1965 0.9801 0.3993  1 N 1.03
17 H 0.2075 0.6489 0.5202  1 N 1.03
18 H 0.2075 0.8511 0.0202  1 N 1.03
19 H 0.2088 0.0141 0.6047  1 N 1.03
20 H 0.2088 0.4859 0.1047  1 N 1.03
21 H 0.2268 0.6140 0.9767  1 N 1.03
22 H 0.2268 0.8860 0.4767  1 N 1.03
23 H 0.2475 0.1197 0.5475  1 N 1.03
24 H 0.2475 0.3803 0.0475  1 N 1.03
25 H 0.2704 0.0862 0.0861  1 N 1.03
26 H 0.2704 0.4138 0.5861  1 N 1.03
27 H 0.2958 0.5739 0.4323  1 N 1.03
28 H 0.2958 0.9261 0.9323  1 N 1.03
29 H 0.3085 0.0810 0.9600  1 N 1.03
30 H 0.3085 0.4190 0.4600  1 N 1.03
31 H 0.3433 0.6084 0.8684  1 N 1.03
32 H 0.3433 0.8916 0.3684  1 N 1.03
33 H 0.3589 0.7311 0.7712  1 O 0.97
34 H 0.3589 0.7689 0.2712  1 O 0.97
35 H 0.3642 0.0875 0.6551  1 N 1.03
36 H 0.3642 0.4125 0.1551  1 N 1.03
37 H 0.3701 0.1443 0.4026  1 N 1.03
38 H 0.3701 0.3557 0.9026  1 N 1.03
39 H 0.4000 0.6466 0.1071  1 N 1.03
40 H 0.4000 0.8534 0.6071  1 N 1.03
41 H 0.4355 0.2430 0.2043  1 O 0.99
42 H 0.4355 0.2570 0.7043  1 O 0.99
43 H 0.4779 0.0704 0.3204  1 N 1.03
44 H 0.4779 0.4296 0.8204  1 N 1.03
45 H 0.5221 0.5704 0.1796  1 N 1.03
46 H 0.5221 0.9296 0.6796  1 N 1.03
47 H 0.5645 0.7430 0.2957  1 O 0.99
48 H 0.5645 0.7570 0.7957  1 O 0.99
49 H 0.6000 0.1466 0.3929  1 N 1.03
50 H 0.6000 0.3534 0.8929  1 N 1.03
51 H 0.6299 0.6443 0.0974  1 N 1.03
52 H 0.6299 0.8557 0.5974  1 N 1.03
53 H 0.6358 0.5875 0.8449  1 N 1.03
54 H 0.6358 0.9125 0.3449  1 N 1.03
55 H 0.6411 0.2311 0.7288  1 O 0.97
56 H 0.6411 0.2689 0.2288  1 O 0.97
57 H 0.6567 0.1084 0.6316  1 N 1.03
58 H 0.6567 0.3916 0.1316  1 N 1.03
59 H 0.6915 0.5810 0.5400  1 N 1.03
60 H 0.6915 0.9190 0.0400  1 N 1.03
61 H 0.7042 0.0739 0.0677  1 N 1.03
62 H 0.7042 0.4261 0.5677  1 N 1.03
63 H 0.7296 0.5862 0.4139  1 N 1.03
64 H 0.7296 0.9138 0.9139  1 N 1.03
65 H 0.7525 0.6197 0.9525  1 N 1.03
66 H 0.7525 0.8803 0.4525  1 N 1.03
67 H 0.7732 0.1140 0.5233  1 N 1.03
68 H 0.7732 0.3860 0.0233  1 N 1.03
69 H 0.7912 0.5141 0.8953  1 N 1.03
70 H 0.7912 0.9859 0.3953  1 N 1.03
71 H 0.7925 0.1489 0.9798  1 N 1.03
72 H 0.7925 0.3511 0.4798  1 N 1.03
73 H 0.8035 0.0199 0.6007  1 N 1.03
74 H 0.8035 0.4801 0.1007  1 N 1.03
75 H 0.8350 0.0550 0.8379  1 N 1.03
76 H 0.8350 0.4450 0.3379  1 N 1.03
77 H 0.8360 0.6625 0.4953  1 N 1.03
78 H 0.8360 0.8375 0.9953  1 N 1.03
79 H 0.8791 0.1461 0.0978  1 N 1.03
80 H 0.8791 0.3539 0.5978  1 N 1.03
81 H 0.9490 0.5936 0.6708  1 N 1.03
82 H 0.9490 0.9064 0.1708  1 N 1.03
83 H 0.9993 0.5196 0.3019  1 N 1.03
84 H 0.9993 0.9804 0.8019  1 N 1.03
85 S 0.0013 0.6845 0.1374  3 O 1.49-1.50
86 S 0.0013 0.8155 0.6374  3 O 1.49-1.50
87 S 0.0784 0.2413 0.2260  1 S 2.02
88 S 0.0784 0.2587 0.7260  1 S 2.02
89 S 0.9216 0.7413 0.2740  1 S 2.02
90 S 0.9216 0.7587 0.7740  1 S 2.02
91 S 0.9987 0.1845 0.3626  3 O 1.49-1.50
92 S 0.9987 0.3155 0.8626  3 O 1.49-1.50
93 N 0.0286 0.5359 0.6477  3 H 1.03
94 N 0.0286 0.9641 0.1477  3 H 1.03
95 N 0.1746 0.6029 0.4603  3 H 1.03
96 N 0.1746 0.8971 0.9603  3 H 1.03
97 N 0.2069 0.0923 0.0149  3 H 1.03
98 N 0.2069 0.4077 0.5149  3 H 1.03
99 N 0.2940 0.5673 0.9282  3 H 1.03
100 N 0.2940 0.9327 0.4282  3 H 1.03
101 N 0.3105 0.0632 0.5858  3 H 1.03
102 N 0.3105 0.4368 0.0858  3 H 1.03
103 N 0.4858 0.1016 0.3930  3 H 1.03
104 N 0.4858 0.3984 0.8930  3 H 1.03
105 N 0.5142 0.6016 0.1070  3 H 1.03
106 N 0.5142 0.8984 0.6070  3 H 1.03
107 N 0.6895 0.5632 0.9142  3 H 1.03
108 N 0.6895 0.9368 0.4142  3 H 1.03
109 N 0.7060 0.0673 0.5718  3 H 1.03
110 N 0.7060 0.4327 0.0718  3 H 1.03
111 N 0.7931 0.5923 0.4851  3 H 1.03
112 N 0.7931 0.9077 0.9851  3 H 1.03
113 N 0.8254 0.1029 0.0397  3 H 1.03
114 N 0.8254 0.3971 0.5397  3 H 1.03
115 N 0.9714 0.0359 0.8523  3 H 1.03
116 N 0.9714 0.4641 0.3523  3 H 1.03
117 Cl 0.4921 0.5373 0.6758  6 H 2.35-2.61
118 Cl 0.4921 0.9627 0.1758  6 H 2.35-2.61
119 Cl 0.5079 0.0373 0.8242  6 H 2.35-2.61
120 Cl 0.5079 0.4627 0.3242  6 H 2.35-2.61
121 O 0.0136 0.5771 0.1464  1 S 1.50
122 O 0.0136 0.9229 0.6464  1 S 1.50
123 O 0.1388 0.2100 0.4444  1 S 1.50
124 O 0.1388 0.2900 0.9444  1 S 1.50
125 O 0.1860 0.7254 0.1091  1 S 1.49
126 O 0.1860 0.7746 0.6091  1 S 1.49
127 O 0.4416 0.7494 0.8280  2 H 0.97-0.99
128 O 0.4416 0.7506 0.3280  2 H 0.97-0.99
129 O 0.5584 0.2494 0.6720  2 H 0.97-0.99
130 O 0.5584 0.2506 0.1720  2 H 0.97-0.99
131 O 0.8140 0.2254 0.3909  1 S 1.49
132 O 0.8140 0.2746 0.8909  1 S 1.49
133 O 0.8612 0.7100 0.0556  1 S 1.50
134 O 0.8612 0.7900 0.5556  1 S 1.50
135 O 0.9864 0.0771 0.3536  1 S 1.50
136 O 0.9864 0.4229 0.8536  1 S 1.50